# Mg6CoSnO8 | Materials Project | GGA+U | relaxed
data_Mg6CoSnO8
_chemical_formula_sum 'Mg6 Co1 Sn1 O8'
_cell_length_a 4.3963
_cell_length_b 4.3963
_cell_length_c 8.8616
_cell_angle_alpha 90.00
_cell_angle_beta 90.00
_cell_angle_gamma 90.00
_space_group_name_H-M_alt 'P 4/m m m'
_space_group_IT_number 123
_space_group_name_Hall '-P 4 2'
loop_
_atom_site_label
_atom_site_type_symbol
_atom_site_fract_x
_atom_site_fract_y
_atom_site_fract_z
Mg1 Mg 0.0000 0.0000 0.0000
Mg2 Mg 0.0000 0.0000 0.5000
Mg3 Mg 0.0000 0.5000 0.2312
Co1 Co 0.5000 0.5000 0.0000
Sn1 Sn 0.5000 0.5000 0.5000
O1 O 0.0000 0.0000 0.2500
O2 O 0.0000 0.5000 0.0000
O3 O 0.0000 0.5000 0.5000
O4 O 0.5000 0.5000 0.2452
# E_form: -2.443 eV/atom
# Relative energy among the computed polymorphs: 0.466 eV/f.u.
# DFT total energy: -5.766 eV per atom
# Volume: 171.28 Å³/f.u.